A relaxed Nd2WC2 crystal. Source: Materials Project, functional PBE.

Cell lengths 5.838, 5.838, 10.403 Å; angles 90.00, 90.00, 90.00 degrees
Positions (direct):
Nd: 0.197 0.197 0.157
Nd: 0.197 0.197 0.843
Nd: 0.303 0.697 0.343
Nd: 0.303 0.697 0.657
Nd: 0.697 0.303 0.343
Nd: 0.697 0.303 0.657
Nd: 0.803 0.803 0.157
Nd: 0.803 0.803 0.843
W: 0.177 0.177 0.500
W: 0.323 0.677 0.000
W: 0.677 0.323 0.000
W: 0.823 0.823 0.500
C: 0.000 0.000 0.357
C: 0.000 0.000 0.643
C: 0.000 0.500 0.000
C: 0.000 0.500 0.500
C: 0.500 0.000 0.000
C: 0.500 0.000 0.500
C: 0.500 0.500 0.143
C: 0.500 0.500 0.857

Calculated values
ΔE_f	-0.1991	eV/atom
space group	P4_2/mnm
calculated density	9.3	g/cm³